This record from the Materials Project describes a relaxed Te7As5I crystal. The functional is PBE-GGA.

Lattice parameters (Å, degrees): 7.7964 7.7964 14.0661 70.18 70.18 30.33
Closest atoms and distances in Å follow each position.
Fractional positions:
1 Te 0.1738 0.1738 0.6284  3 As 2.72-2.84
2 Te 0.8248 0.8248 0.3797  1 As 2.66
3 Te 0.9034 0.9034 0.6559  2 As 2.75
4 Te 0.0984 0.0984 0.3397  2 As 2.75
5 Te 0.4860 0.4860 0.8552  3 As 2.72-2.96
6 Te 0.5115 0.5115 0.1451  3 As 2.70-2.92
7 Te 0.7981 0.7981 0.0946  3 As 2.73-2.85
8 As 0.9909 0.9909 0.0056  5 Te 2.73-2.96
9 As 0.6780 0.6780 0.7669  3 Te 2.72-2.84, 2 I 3.02
10 As 0.3200 0.3200 0.2261  5 Te 2.70-2.99
11 As 0.3663 0.3663 0.5440  3 Te 2.72-2.75
12 As 0.6357 0.6357 0.4509  3 Te 2.66-2.75
13 I 0.2132 0.2132 0.9080  3 As 3.02-3.14

Results
The calculation puts the calculated total energy at -47.13 eV per cell. The value obtained for the size of the total moment is 0.000 μB per atom. The value obtained for the energy relative to the elements is -0.05 eV per atom. The energy above the lowest structure with this stoichiometry comes out at 0 meV/atom.



This record from the Materials Project describes a relaxed Hf4AlSi crystal. The functional is PBE-GGA.

Lattice parameters (Å, degrees): 5.4053 5.4053 5.4053 103.63 103.63 121.91
Closest atoms and distances in Å follow each position.
Fractional positions:
1 Hf 0.4041 0.9041 0.8083  2 Si 2.85, 2 Al 2.85, 3 Hf 2.91-3.19
2 Hf 0.0959 0.5959 0.1917  2 Si 2.85, 2 Al 2.85, 3 Hf 2.91-3.19
3 Hf 0.5959 0.4041 0.5000  2 Al 2.85, 2 Si 2.85, 3 Hf 2.91-3.19
4 Hf 0.9041 0.0959 0.5000  2 Al 2.85, 2 Si 2.85, 3 Hf 2.91-3.19
5 Al 0.5000 0.5000 0.0000  2 Si 2.62, 8 Hf 2.85
6 Si 0.0000 0.0000 0.0000  2 Al 2.62, 8 Hf 2.85

Results
The calculation puts the calculated total energy at -52.08 eV per cell. The value obtained for the energy relative to the elements is -0.50 eV per atom.